# AlCuO3 | the Materials Project | PBE-GGA | relaxed
# Magnetization: 0.40 μB per atom
# ΔE_f: -2030 meV per atom
# Volume: 281.76 Å³/cell
data_AlCuO3
_chemical_formula_sum 'Al6 Cu6 O18'
_symmetry_space_group_name_H-M 'R -3'
_symmetry_Int_Tables_number 148
_symmetry_space_group_name_Hall '-R 3'
_cell_length_a 4.9343
_cell_length_b 4.9343
_cell_length_c 13.3631
_cell_angle_alpha 90.00
_cell_angle_beta 90.00
_cell_angle_gamma 120.00
loop_
_atom_site_label
_atom_site_type_symbol
_atom_site_fract_x
_atom_site_fract_y
_atom_site_fract_z
Al1 Al 0.0000 0.0000 0.1500
Cu1 Cu 0.0000 0.0000 0.3513
O1 O 0.0091 0.6998 0.7545

---

# Na5Mg3GeP3S3O24 | the Materials Project | PBE-GGA | relaxed
# Magnetization: 0.00 μB per atom
# ΔE_f: -2462 meV per atom
# Volume: 1476.44 Å³/cell
data_Na5Mg3GeP3S3O24
_chemical_formula_sum 'Na15 Mg9 Ge3 P9 S9 O72'
_symmetry_space_group_name_H-M 'P 1'
_symmetry_Int_Tables_number 1
_cell_length_a 8.780
_cell_length_b 8.803
_cell_length_c 22.022
_cell_angle_alpha 89.73
_cell_angle_beta 89.51
_cell_angle_gamma 60.16
loop_
_symmetry_equiv_pos_as_xyz
'x,y,z'
loop_
_atom_site_label
_atom_site_type_symbol
_atom_site_fract_x
_atom_site_fract_y
_atom_site_fract_z
Na1 Na 0.000 0.000 0.000
Na2 Na 0.003 0.372 0.244
Na3 Na 0.037 0.320 0.914
Na4 Na 0.310 0.668 0.918
Na5 Na 0.321 0.036 0.408
Na6 Na 0.333 0.342 0.830
Na7 Na 0.345 0.342 0.330
Na8 Na 0.370 0.009 0.744
Na9 Na 0.378 0.641 0.236
Na10 Na 0.630 0.012 0.246
Na11 Na 0.642 0.376 0.740
Na12 Na 0.660 0.673 0.156
Na13 Na 0.682 0.679 0.654
Na14 Na 0.976 0.341 0.568
Na15 Na 0.986 0.994 0.490
Mg1 Mg 0.004 0.006 0.637
Mg2 Mg 0.013 0.007 0.137
Mg3 Mg 0.327 0.346 0.674
Mg4 Mg 0.343 0.342 0.471
Mg5 Mg 0.346 0.340 0.977
Mg6 Mg 0.347 0.341 0.172
Mg7 Mg 0.674 0.673 0.312
Mg8 Mg 0.678 0.678 0.503
Mg9 Mg 0.680 0.670 0.809
Ge1 Ge 0.002 0.013 0.849
Ge2 Ge 0.666 0.677 0.008
Ge3 Ge 0.987 0.032 0.345
P1 P 0.005 0.297 0.742
P2 P 0.293 0.007 0.243
P3 P 0.343 0.642 0.072
P4 P 0.380 0.967 0.905
P5 P 0.674 0.381 0.906
P6 P 0.679 0.971 0.405
P7 P 0.714 0.300 0.240
P8 P 0.957 0.683 0.908
P9 P 0.970 0.375 0.408
S1 S 0.006 0.721 0.242
S2 S 0.034 0.350 0.073
S3 S 0.044 0.637 0.575
S4 S 0.291 0.717 0.744
S5 S 0.344 0.040 0.576
S6 S 0.370 0.678 0.407
S7 S 0.631 0.344 0.577
S8 S 0.636 0.035 0.074
S9 S 0.720 0.005 0.743
O1 O 0.007 0.199 0.076
O2 O 0.024 0.813 0.581
O3 O 0.039 0.173 0.802
O4 O 0.039 0.801 0.297
O5 O 0.115 0.372 0.128
O6 O 0.123 0.531 0.631
O7 O 0.139 0.331 0.017
O8 O 0.142 0.525 0.916
O9 O 0.150 0.551 0.521
O10 O 0.160 0.340 0.413
O11 O 0.164 0.543 0.237
O12 O 0.174 0.040 0.304
O13 O 0.177 0.306 0.741
O14 O 0.179 0.029 0.581
O15 O 0.187 0.827 0.076
O16 O 0.188 0.794 0.802
O17 O 0.189 0.977 0.903
O18 O 0.192 0.846 0.403
O19 O 0.202 0.828 0.692
O20 O 0.208 0.972 0.190
O21 O 0.305 0.176 0.239
O22 O 0.318 0.153 0.523
O23 O 0.319 0.537 0.740
O24 O 0.328 0.552 0.015
O25 O 0.343 0.153 0.915
O26 O 0.346 0.527 0.414
O27 O 0.364 0.120 0.633
O28 O 0.375 0.533 0.131
O29 O 0.455 0.709 0.459
O30 O 0.467 0.837 0.960
O31 O 0.468 0.657 0.350
O32 O 0.468 0.704 0.747
O33 O 0.477 0.890 0.846
O34 O 0.478 0.846 0.250
O35 O 0.499 0.864 0.571
O36 O 0.516 0.356 0.916
O37 O 0.520 0.156 0.413
O38 O 0.522 0.652 0.065
O39 O 0.529 0.317 0.238
O40 O 0.534 0.108 0.131
O41 O 0.536 0.359 0.636
O42 O 0.539 0.328 0.525
O43 O 0.542 0.168 0.741
O44 O 0.547 0.142 0.021
O45 O 0.644 0.485 0.848
O46 O 0.647 0.894 0.348
O47 O 0.650 0.856 0.068
O48 O 0.654 0.502 0.573
O49 O 0.693 0.853 0.749
O50 O 0.695 0.482 0.248
O51 O 0.709 0.859 0.461
O52 O 0.720 0.468 0.960
O53 O 0.794 0.179 0.299
O54 O 0.801 0.036 0.800
O55 O 0.811 0.186 0.579
O56 O 0.813 0.012 0.078
O57 O 0.824 0.984 0.690
O58 O 0.833 0.210 0.187
O59 O 0.837 0.717 0.966
O60 O 0.839 0.476 0.749
O61 O 0.849 0.699 0.249
O62 O 0.850 0.195 0.903
O63 O 0.856 0.980 0.399
O64 O 0.857 0.519 0.068
O65 O 0.862 0.451 0.466
O66 O 0.866 0.651 0.571
O67 O 0.879 0.650 0.853
O68 O 0.886 0.476 0.350
O69 O 0.976 0.828 0.188
O70 O 0.979 0.852 0.902
O71 O 0.980 0.208 0.687
O72 O 0.991 0.182 0.404

---

# OsXeO3F8 | the Materials Project | PBE-GGA | relaxed
# Magnetization: 0.01 μB per atom
# ΔE_f: -1225 meV per atom
# Volume: 1772.78 Å³/cell
data_OsXeO3F8
_chemical_formula_sum 'Os8 Xe8 O24 F64'
_symmetry_space_group_name_H-M 'P 42/n'
_symmetry_Int_Tables_number 86
_cell_length_a 17.637
_cell_length_b 17.637
_cell_length_c 5.699
_cell_angle_alpha 90.00
_cell_angle_beta 90.00
_cell_angle_gamma 90.00
loop_
_symmetry_equiv_pos_as_xyz
'x,y,z'
'-x,-y,-z'
'-y,x+1/2,z+1/2'
'y,-x+1/2,-z+1/2'
'-x+1/2,-y+1/2,z'
'x+1/2,y+1/2,-z'
'y+1/2,-x,z+1/2'
'-y+1/2,x,-z+1/2'
loop_
_atom_site_label
_atom_site_type_symbol
_atom_site_fract_x
_atom_site_fract_y
_atom_site_fract_z
Os1 Os 0.078 0.799 0.034
Xe1 Xe 0.065 0.342 0.022
O1 O 0.055 0.883 0.901
O2 O 0.094 0.825 0.319
O3 O 0.167 0.779 0.929
F1 F 0.002 0.587 0.793
F2 F 0.031 0.740 0.762
F3 F 0.037 0.214 0.887
F4 F 0.047 0.405 0.736
F5 F 0.064 0.690 0.148
F6 F 0.075 0.137 0.413
F7 F 0.113 0.301 0.313
F8 F 0.155 0.303 0.852

---

# Te2Pd7 | the Materials Project | PBE-GGA | relaxed
# Magnetization: 0.00 μB per atom
# ΔE_f: -144 meV per atom
# Volume: 1530.48 Å³/cell
data_Te2Pd7
_chemical_formula_sum 'Te18 Pd63'
_symmetry_space_group_name_H-M 'R -3 m'
_symmetry_Int_Tables_number 166
_symmetry_space_group_name_Hall '-R 3 2"'
_cell_length_a 8.9753
_cell_length_b 8.9753
_cell_length_c 21.9380
_cell_angle_alpha 90.00
_cell_angle_beta 90.00
_cell_angle_gamma 120.00
loop_
_atom_site_label
_atom_site_type_symbol
_atom_site_fract_x
_atom_site_fract_y
_atom_site_fract_z
Te1 Te 0.0000 0.0000 0.0000
Te2 Te 0.0000 0.0000 0.3720
Te3 Te 0.0000 0.5000 0.5000
Pd1 Pd 0.0000 0.0000 0.2573
Pd2 Pd 0.0000 0.0000 0.5000
Pd3 Pd 0.0131 0.5066 0.6225
Pd4 Pd 0.0173 0.5087 0.8738
Pd5 Pd 0.0278 0.5139 0.2515

---

Q: Among the records above, which one has the highest volume?
A: OsXeO3F8

---

Q: What is the magnetization in the third record?
A: 0.01 μB per atom

---

Q: Among the records above, which one has the highest volume?
A: OsXeO3F8

---

Please write out number 4 again, unchanged.
# Te2Pd7 | the Materials Project | PBE-GGA | relaxed
# Magnetization: 0.00 μB per atom
# ΔE_f: -144 meV per atom
# Volume: 1530.48 Å³/cell
data_Te2Pd7
_chemical_formula_sum 'Te18 Pd63'
_symmetry_space_group_name_H-M 'R -3 m'
_symmetry_Int_Tables_number 166
_symmetry_space_group_name_Hall '-R 3 2"'
_cell_length_a 8.9753
_cell_length_b 8.9753
_cell_length_c 21.9380
_cell_angle_alpha 90.00
_cell_angle_beta 90.00
_cell_angle_gamma 120.00
loop_
_atom_site_label
_atom_site_type_symbol
_atom_site_fract_x
_atom_site_fract_y
_atom_site_fract_z
Te1 Te 0.0000 0.0000 0.0000
Te2 Te 0.0000 0.0000 0.3720
Te3 Te 0.0000 0.5000 0.5000
Pd1 Pd 0.0000 0.0000 0.2573
Pd2 Pd 0.0000 0.0000 0.5000
Pd3 Pd 0.0131 0.5066 0.6225
Pd4 Pd 0.0173 0.5087 0.8738
Pd5 Pd 0.0278 0.5139 0.2515